DFT (PBE with a Hubbard U) results for a geometry-optimized Ba2UCoO6 structure.

Values from the calculation:
* E_tot: -7.62 eV per atom
* density: 7.35 g/cm3
* formation energy: -69.3 kcal/mol of atoms

Cell lengths 8.448, 8.448, 8.448 Å; angles 90.00, 90.00, 90.00 degrees
Space group Fm-3m (No. 225)
Unique sites:
Ba  0.250  0.250  0.250
U  0.000  0.000  0.000
Co  0.000  0.000  0.500
O  0.000  0.000  0.248